Here is crystalline PtC at its relaxed geometry from Materials Project. Energies are from GGA-PBE.

Summary:
- Symmetry: No. 187
- Energy above the most stable polymorph in this dataset: 1.319 eV per formula unit
- Total moment: 0.0 μB per formula unit

Unit cell a=3.028 b=3.028 c=2.884 alpha=90.00 beta=90.00 gamma=120.00
Fractional coordinates of all 2 atoms:
C 0.333 0.667 0.500
Pt 0.000 0.000 0.000

Here is crystalline RbMnCu3Se4 at its relaxed geometry from Materials Project. Energies are from GGA-PBE.

Summary:
- Symmetry: No. 215
- E: -4.365 eV per atom
- Total moment: 3.0 μB per formula unit

Unit cell a=6.141 b=6.141 c=6.141 alpha=90.00 beta=90.00 gamma=90.00
Fractional coordinates of all 9 atoms:
Se 0.783 0.217 0.783
Se 0.217 0.217 0.217
Se 0.783 0.783 0.217
Se 0.217 0.783 0.783
Cu 0.000 0.000 0.500
Cu 0.500 0.000 0.000
Cu 0.000 0.500 0.000
Rb 0.500 0.500 0.500
Mn 0.000 0.000 0.000

Here is crystalline Na3AlSi3Ge3S3O24 at its relaxed geometry from Materials Project. Energies are from GGA-PBE.

Summary:
- Symmetry: No. 1
- E: -6.452 eV per atom
- Total moment: 0.0 μB per formula unit

Unit cell a=8.505 b=8.543 c=21.909 alpha=89.55 beta=90.29 gamma=120.06
Fractional coordinates of all 111 atoms:
Si 0.621 0.674 0.916
Si 0.954 0.333 0.584
Si 0.007 0.716 0.748
Si 0.385 0.334 0.087
Si 0.612 0.940 0.417
Si 0.288 0.281 0.752
Si 0.962 0.630 0.084
Si 0.340 0.372 0.417
Si 0.989 0.287 0.250
S 0.713 0.005 0.750
S 0.046 0.673 0.416
S 0.669 0.622 0.584
S 0.379 0.043 0.585
S 0.667 0.050 0.083
S 0.338 0.955 0.917
S 0.286 0.994 0.252
S 0.719 0.718 0.251
S 0.040 0.373 0.918
O 0.841 0.547 0.021
O 0.164 0.656 0.071
O 0.367 0.515 0.078
O 0.812 0.965 0.411
O 0.490 0.130 0.639
O 0.635 0.512 0.640
O 0.114 0.489 0.861
O 0.691 0.163 0.742
O 0.306 0.832 0.256
O 0.973 0.149 0.590
O 0.502 0.640 0.579
O 0.949 0.790 0.808
O 0.972 0.825 0.094
O 0.028 0.196 0.910
O 0.182 0.493 0.258
O 0.172 0.976 0.912
O 0.787 0.960 0.695
O 0.488 0.308 0.740
O 0.194 0.024 0.588
O 0.120 0.626 0.362
O 0.451 0.155 0.528
O 0.969 0.173 0.311
O 0.831 0.804 0.589
O 0.176 0.960 0.195
O 0.829 0.799 0.306
O 0.190 0.703 0.760
O 0.201 0.024 0.305
O 0.157 0.520 0.575
O 0.457 0.286 0.024
O 0.879 0.501 0.142
O 0.645 0.148 0.422
O 0.829 0.519 0.742
O 0.157 0.708 0.472
O 0.690 0.532 0.247
O 0.194 0.160 0.813
O 0.824 0.856 0.909
O 0.532 0.698 0.255
O 0.836 0.302 0.520
O 0.504 0.136 0.922
O 0.280 0.453 0.474
O 0.164 0.176 0.409
O 0.499 0.638 0.854
O 0.858 0.362 0.642
O 0.520 0.824 0.479
O 0.640 0.490 0.921
O 0.865 0.507 0.423
O 0.812 0.306 0.242
O 0.528 0.707 0.975
O 0.155 0.456 0.972
O 0.856 0.351 0.923
O 0.501 0.869 0.077
O 0.180 0.159 0.089
O 0.795 0.826 0.195
O 0.635 0.127 0.138
O 0.827 0.025 0.089
O 0.363 0.865 0.578
O 0.316 0.487 0.757
O 0.044 0.200 0.192
O 0.484 0.862 0.356
O 0.501 0.361 0.148
O 0.163 0.211 0.691
O 0.300 0.842 0.972
O 0.701 0.160 0.026
O 0.532 0.840 0.756
O 0.466 0.160 0.245
O 0.379 0.496 0.355
O 0.028 0.832 0.406
O 0.526 0.367 0.429
O 0.697 0.540 0.529
O 0.364 0.874 0.861
O 0.037 0.842 0.688
O 0.824 0.040 0.806
Al 0.680 0.344 0.689
Al 0.993 0.011 0.356
Al 0.688 0.345 0.182
Na 0.001 0.996 0.002
Na 0.998 0.001 0.499
Na 0.360 0.362 0.247
Na 0.666 0.334 0.833
Na 0.315 0.657 0.666
Na 0.667 0.327 0.332
Na 0.968 0.293 0.416
Na 0.323 0.664 0.164
Na 0.636 0.629 0.752
Ge 0.656 0.308 0.479
Ge 0.001 0.983 0.852
Ge 0.661 0.364 0.984
Ge 0.017 0.014 0.143
Ge 0.337 0.659 0.316
Ge 0.017 0.020 0.648
Ge 0.330 0.646 0.518
Ge 0.340 0.660 0.025
Ge 0.320 0.647 0.812

Here is crystalline CaP3 at its relaxed geometry from Materials Project. Energies are from GGA-PBE.

Summary:
- Symmetry: No. 2
- E: -5.186 eV per atom

Unit cell a=5.609 b=5.639 c=5.695 alpha=70.08 beta=79.63 gamma=74.68
Fractional coordinates of all 8 atoms:
P 0.599 0.800 0.102
P 0.873 0.178 0.394
P 0.995 0.801 0.001
P 0.401 0.200 0.898
P 0.127 0.822 0.606
P 0.005 0.199 0.999
Ca 0.324 0.357 0.352
Ca 0.676 0.643 0.648

Here is crystalline Na3MgCu2SbO6 at its relaxed geometry from Materials Project. Energies are from GGA-PBE.

Summary:
- Symmetry: No. 8
- E: -5.097 eV per atom
- Total moment: 0.0 μB per formula unit

Unit cell a=6.435 b=6.435 c=5.670 alpha=93.66 beta=93.66 gamma=128.53
Fractional coordinates of all 13 atoms:
O 0.248 0.248 0.723
O 0.907 0.679 0.806
O 0.176 0.405 0.156
O 0.405 0.176 0.156
O 0.835 0.835 0.239
O 0.679 0.907 0.806
Mg 0.544 0.544 0.977
Sb 0.043 0.043 0.982
Na 0.898 0.182 0.482
Na 0.539 0.539 0.476
Na 0.182 0.898 0.482
Cu 0.541 0.040 0.982
Cu 0.040 0.541 0.982

Here is crystalline Tm2OsAu at its relaxed geometry from Materials Project. Energies are from GGA-PBE.

Summary:
- Symmetry: No. 225
- E: -6.413 eV per atom

Unit cell a=4.883 b=4.883 c=4.883 alpha=60.00 beta=60.00 gamma=60.00
Fractional coordinates of all 4 atoms:
Tm 0.750 0.750 0.750
Tm 0.250 0.250 0.250
Os 0.000 0.000 0.000
Au 0.500 0.500 0.500

Here is crystalline LaGe2Pd2 at its relaxed geometry from Materials Project. Energies are from GGA-PBE.

Summary:
- Symmetry: No. 139
- E: -5.766 eV per atom

Unit cell a=4.421 b=4.421 c=5.971 alpha=111.73 beta=111.73 gamma=90.00
Fractional coordinates of all 5 atoms:
La 0.000 0.000 0.000
Ge 0.376 0.376 0.751
Ge 0.624 0.624 0.249
Pd 0.250 0.750 0.500
Pd 0.750 0.250 0.500

Here is crystalline Rb2LiCeF6 at its relaxed geometry from Materials Project. Energies are from GGA-PBE.

Summary:
- Symmetry: No. 225
- E: -5.368 eV per atom
- Total moment: 1.0 μB per formula unit

Unit cell a=6.288 b=6.288 c=6.288 alpha=60.00 beta=60.00 gamma=60.00
Fractional coordinates of all 10 atoms:
F 0.742 0.258 0.742
F 0.258 0.258 0.742
F 0.742 0.258 0.258
F 0.742 0.742 0.258
F 0.258 0.742 0.742
F 0.258 0.742 0.258
Rb 0.750 0.750 0.750
Rb 0.250 0.250 0.250
Ce 0.000 0.000 0.000
Li 0.500 0.500 0.500